Entry from the Materials Project database: a geometry-optimized Na4TaIn3Si3S3O24 structure (PBE-GGA).

Lattice parameters (Å, degrees): 9.084 9.089 23.008 89.97 90.11 119.86
Fractional positions:
Ta: 0.669 0.335 0.971
O: 0.471 0.325 0.749
S: 0.337 0.365 0.418
O: 0.213 0.172 0.080
Si: 0.666 0.626 0.584
O: 0.948 0.172 0.307
O: 0.548 0.867 0.470
O: 0.816 0.818 0.907
O: 0.767 0.969 0.696
O: 0.305 0.863 0.983
O: 0.495 0.634 0.862
In: 0.000 0.000 0.344
Na: 0.667 0.334 0.326
O: 0.153 0.487 0.576
O: 0.356 0.485 0.077
S: 0.635 0.972 0.418
Na: 0.987 0.001 0.988
O: 0.181 0.995 0.908
O: 0.515 0.683 0.259
O: 0.143 0.444 0.978
Na: 0.663 0.962 0.586
O: 0.365 0.861 0.574
O: 0.056 0.230 0.192
O: 0.032 0.803 0.698
O: 0.849 0.523 0.030
S: 0.958 0.624 0.081
Si: 0.961 0.335 0.586
O: 0.361 0.466 0.364
S: 0.378 0.335 0.081
O: 0.823 0.031 0.081
O: 0.677 0.154 0.030
O: 0.649 0.144 0.424
O: 0.132 0.646 0.078
In: 0.670 0.337 0.185
Na: 0.291 0.958 0.084
O: 0.164 0.688 0.759
O: 0.557 0.703 0.978
Si: 0.377 0.042 0.585
O: 0.482 0.171 0.528
Na: 0.334 0.654 0.175
O: 0.513 0.146 0.927
Si: 0.331 0.958 0.921
O: 0.320 0.451 0.470
O: 0.883 0.534 0.136
Ta: 0.334 0.667 0.822
O: 0.523 0.836 0.759
In: 0.001 0.000 0.854
O: 0.209 0.194 0.801
O: 0.312 0.476 0.758
O: 0.674 0.146 0.749
In: 0.334 0.662 0.010
O: 0.985 0.789 0.803
In: 0.325 0.666 0.519
O: 0.615 0.507 0.641
O: 0.363 0.855 0.866
In: 0.333 0.668 0.316
Na: 0.667 0.333 0.828
O: 0.186 0.194 0.415
O: 0.828 0.775 0.307
O: 0.647 0.120 0.135
S: 0.697 0.994 0.751
Na: 0.318 0.667 0.659
O: 0.971 0.795 0.079
O: 0.806 0.991 0.415
O: 0.480 0.323 0.031
S: 0.006 0.704 0.752
O: 0.201 0.049 0.585
O: 0.141 0.505 0.862
Na: 0.362 0.360 0.251
O: 0.960 0.154 0.586
In: 0.669 0.337 0.680
Na: 0.304 0.343 0.586
In: 0.994 0.001 0.157
O: 0.496 0.351 0.424
O: 0.834 0.312 0.528
O: 0.469 0.350 0.136
O: 0.806 0.013 0.801
O: 0.201 0.231 0.695
O: 0.185 0.955 0.186
Si: 0.042 0.372 0.918
O: 0.680 0.515 0.243
O: 0.533 0.896 0.364
O: 0.509 0.875 0.077
O: 0.854 0.367 0.925
O: 0.854 0.531 0.748
O: 0.219 0.050 0.303
Na: 0.998 0.636 0.252
O: 0.633 0.487 0.926
O: 0.313 0.831 0.256
Si: 0.628 0.670 0.919
S: 0.028 0.663 0.417
O: 0.168 0.484 0.259
O: 0.834 0.812 0.585
O: 0.008 0.815 0.415
Si: 0.001 0.296 0.250
O: 0.486 0.165 0.242
S: 0.667 0.044 0.081
O: 0.835 0.319 0.243
O: 0.002 0.184 0.907
O: 0.770 0.824 0.192
O: 0.101 0.638 0.363
Si: 0.704 0.705 0.251
O: 0.889 0.372 0.644
In: 0.002 0.993 0.644
S: 0.297 0.303 0.751
Na: 0.639 0.001 0.252
O: 0.689 0.522 0.527
O: 0.500 0.646 0.572
O: 0.136 0.682 0.468
Si: 0.295 0.000 0.247
Ta: 0.669 0.335 0.487
Na: 0.001 0.989 0.504
O: 0.493 0.113 0.642
O: 0.857 0.505 0.424

## Properties
Spin magnetization ... 0.0000 μB per atom
V ... 14.45 Å³ per atom
Formation energy from the elements ... -2.39 eV per atom

=====

Entry from the Materials Project database: a geometry-optimized Na2Ta4In4Si5S7O48 structure (PBE-GGA).

Lattice parameters (Å, degrees): 17.846 8.932 23.032 89.97 89.96 120.09
Fractional positions:
O: 0.262 0.381 0.138
S: 0.812 0.667 0.916
Ta: 0.831 0.330 0.690
O: 0.996 0.816 0.098
O: 0.167 0.484 0.470
S: 0.481 0.628 0.082
Si: 0.170 0.952 0.914
Ta: 0.161 0.665 0.023
O: 0.903 0.820 0.198
O: 0.070 0.632 0.072
O: 0.738 0.299 0.734
O: 0.571 0.506 0.570
O: 0.749 0.630 0.573
O: 0.324 0.133 0.421
O: 0.413 0.791 0.305
S: 0.523 0.672 0.416
O: 0.426 0.360 0.925
O: 0.267 0.668 0.266
S: 0.852 0.003 0.753
Ta: 0.505 0.010 0.641
In: 0.832 0.332 0.482
Si: 0.650 0.012 0.249
O: 0.851 0.173 0.745
S: 0.812 0.948 0.417
O: 0.408 0.046 0.801
O: 0.241 0.285 0.741
O: 0.768 0.684 0.971
O: 0.261 0.873 0.365
Si: 0.693 0.052 0.582
Na: 0.832 0.340 0.837
O: 0.269 0.854 0.471
O: 0.570 0.648 0.075
O: 0.615 0.172 0.810
O: 0.899 0.968 0.418
O: 0.976 0.176 0.304
O: 0.097 0.188 0.101
In: 0.004 0.009 0.656
O: 0.902 0.813 0.590
In: 0.007 0.990 0.354
Si: 0.149 0.294 0.751
O: 0.265 0.689 0.970
O: 0.003 0.803 0.688
O: 0.566 0.648 0.366
O: 0.742 0.203 0.243
O: 0.681 0.878 0.865
In: 0.504 0.021 0.855
O: 0.575 0.702 0.753
Ta: 0.006 0.002 0.141
O: 0.243 0.352 0.423
O: 0.353 0.533 0.248
O: 0.851 0.533 0.239
O: 0.444 0.522 0.136
Ta: 0.333 0.345 0.686
Si: 0.998 0.707 0.748
S: 0.354 0.702 0.253
O: 0.476 0.151 0.306
O: 0.074 0.447 0.253
Na: 0.497 0.006 0.996
Ta: 0.332 0.329 0.187
O: 0.885 0.973 0.698
O: 0.239 0.122 0.633
O: 0.185 0.870 0.857
O: 0.911 0.010 0.104
S: 0.021 0.370 0.916
O: 0.724 0.166 0.524
Si: 0.332 0.627 0.584
O: 0.558 0.481 0.859
O: 0.325 0.130 0.136
O: 0.597 0.187 0.086
O: 0.575 0.691 0.471
Ta: 0.502 0.012 0.351
O: 0.119 0.061 0.311
O: 0.932 0.349 0.919
O: 0.993 0.180 0.589
O: 0.014 0.841 0.421
O: 0.160 0.842 0.251
O: 0.660 0.478 0.750
O: 0.943 0.365 0.635
In: 0.841 0.333 0.986
O: 0.764 0.865 0.762
O: 0.096 0.006 0.586
S: 0.663 0.377 0.415
O: 0.735 0.342 0.420
Na: 0.327 0.318 0.333
O: 0.743 0.134 0.923
O: 0.094 0.155 0.806
O: 0.071 0.491 0.575
In: 0.669 0.670 0.305
S: 0.859 0.708 0.248
In: 0.657 0.644 0.809
O: 0.684 0.859 0.569
O: 0.183 0.867 0.574
O: 0.063 0.475 0.865
O: 0.000 0.188 0.199
S: 0.359 0.010 0.746
O: 0.762 0.147 0.635
Na: 0.001 0.990 0.499
Na: 0.845 0.350 0.337
O: 0.917 0.307 0.242
O: 0.071 0.452 0.971
O: 0.492 0.803 0.088
Si: 0.194 0.344 0.082
O: 0.919 0.491 0.423
O: 0.274 0.858 0.748
O: 0.310 0.489 0.639
In: 0.168 0.673 0.807
Si: 0.474 0.329 0.582
O: 0.325 0.526 0.923
O: 0.596 0.008 0.599
O: 0.816 0.117 0.422
S: 0.686 0.333 0.081
S: 0.496 0.713 0.750
O: 0.977 0.801 0.805
O: 0.094 0.229 0.692
O: 0.158 0.832 0.973
Si: 0.976 0.621 0.082
O: 0.425 0.363 0.636
O: 0.517 0.190 0.921
O: 0.350 0.168 0.736
Ta: 0.663 0.668 0.526
Si: 0.497 0.290 0.248
O: 0.652 0.459 0.469
O: 0.930 0.305 0.531
O: 0.179 0.486 0.766
O: 0.772 0.684 0.252
O: 0.820 0.519 0.634
O: 0.584 0.487 0.975
O: 0.581 0.175 0.696
O: 0.250 0.871 0.078
O: 0.244 0.149 0.918
Si: 0.642 0.284 0.751
O: 0.746 0.846 0.073
O: 0.075 0.953 0.906
O: 0.919 0.561 0.024
O: 0.740 0.355 0.134
O: 0.724 0.305 0.028
S: 0.668 0.954 0.918
S: 0.168 0.383 0.418
O: 0.759 0.645 0.865
Si: 0.832 0.036 0.084
In: 0.327 0.321 0.978
O: 0.585 0.950 0.920
O: 0.186 0.515 0.069
In: 0.503 0.001 0.152
O: 0.678 0.483 0.364
S: 0.314 0.677 0.917
O: 0.517 0.833 0.410
S: 0.334 0.037 0.084
O: 0.388 0.803 0.200
O: 0.180 0.483 0.365
O: 0.404 0.997 0.092
S: 0.312 0.957 0.416
O: 0.684 0.499 0.075
S: 0.186 0.040 0.581
Ta: 0.007 0.991 0.854
O: 0.907 0.513 0.740
O: 0.080 0.986 0.198
In: 0.339 0.347 0.486
O: 0.676 0.874 0.265
Ta: 0.166 0.670 0.522
O: 0.854 0.565 0.530
Ta: 0.668 0.665 0.022
O: 0.410 0.310 0.242
O: 0.765 0.863 0.364
S: 0.995 0.278 0.250
O: 0.398 0.965 0.411
Ta: 0.832 0.322 0.184
S: 0.834 0.631 0.583
O: 0.268 0.661 0.864
O: 0.418 0.529 0.741
O: 0.223 0.140 0.527
O: 0.505 0.204 0.190
O: 0.580 0.467 0.263
Si: 0.144 0.002 0.251
O: 0.241 0.178 0.234
Si: 0.519 0.374 0.918
O: 0.477 0.778 0.803
O: 0.823 0.514 0.921
S: 0.982 0.332 0.583
O: 0.428 0.547 0.031
O: 0.355 0.146 0.032
O: 0.080 0.675 0.475
Na: 0.333 0.316 0.844
O: 0.406 0.994 0.696
O: 0.496 0.177 0.596
O: 0.579 0.204 0.408
O: 0.401 0.839 0.918
O: 0.012 0.194 0.911
O: 0.593 0.035 0.306
O: 0.810 0.131 0.140
O: 0.435 0.519 0.420
O: 0.763 0.836 0.469
O: 0.421 0.280 0.522
O: 0.411 0.813 0.603
O: 0.074 0.672 0.757
O: 0.856 0.152 0.027
Si: 0.016 0.660 0.418
O: 0.246 0.645 0.571
O: 0.667 0.850 0.971
O: 0.054 0.628 0.360
In: 0.156 0.670 0.310
O: 0.501 0.814 0.698
O: 0.897 0.831 0.912
O: 0.593 0.966 0.192
O: 0.909 0.033 0.803
O: 0.908 0.773 0.303
O: 0.356 0.562 0.526
O: 0.227 0.281 0.029
O: 0.084 0.218 0.419
O: 0.924 0.491 0.137

## Properties
Spin magnetization ... 0.0000 μB per atom
V ... 15.13 Å³ per atom
Formation energy from the elements ... -2.45 eV per atom

=====

Entry from the Materials Project database: a geometry-optimized Na2TaIn3Si2S4O24 structure (PBE-GGA).

Lattice parameters (Å, degrees): 8.924 8.907 23.304 90.38 89.45 120.00
Fractional positions:
O: 0.814 0.838 0.908
O: 0.297 0.850 0.974
O: 0.803 0.770 0.303
O: 0.524 0.691 0.264
O: 0.515 0.858 0.366
O: 0.859 0.520 0.742
Na: 0.326 0.647 0.671
O: 0.140 0.448 0.969
S: 0.005 0.700 0.749
O: 0.327 0.842 0.261
Si: 0.967 0.632 0.083
O: 0.038 0.204 0.193
O: 0.142 0.700 0.476
O: 0.874 0.351 0.636
O: 0.319 0.458 0.470
O: 0.474 0.150 0.244
In: 0.334 0.678 0.018
O: 0.017 0.843 0.411
O: 0.965 0.773 0.799
O: 0.476 0.320 0.030
S: 0.668 0.638 0.583
Ta: 0.344 0.667 0.820
O: 0.826 0.812 0.589
S: 0.335 0.379 0.416
O: 0.148 0.655 0.362
O: 0.681 0.148 0.744
Si: 0.630 0.675 0.920
In: 0.014 0.998 0.854
O: 0.860 0.312 0.531
Na: 0.003 0.985 0.496
O: 0.797 0.983 0.413
O: 0.004 0.203 0.907
Na: 0.309 0.654 0.156
S: 0.700 0.994 0.751
S: 0.668 0.046 0.082
O: 0.166 0.691 0.757
O: 0.541 0.687 0.977
O: 0.546 0.855 0.471
In: 0.998 0.998 0.144
O: 0.643 0.532 0.634
O: 0.834 0.048 0.082
O: 0.362 0.867 0.580
O: 0.353 0.490 0.365
O: 0.831 0.315 0.250
O: 0.840 0.518 0.027
S: 0.620 0.954 0.417
O: 0.184 0.007 0.913
O: 0.212 0.174 0.082
Ta: 0.669 0.347 0.978
O: 0.172 0.479 0.263
Si: 0.990 0.276 0.251
Na: 0.635 0.325 0.833
O: 0.458 0.143 0.529
O: 0.477 0.344 0.135
O: 0.869 0.375 0.921
O: 0.970 0.168 0.587
O: 0.491 0.331 0.747
In: 0.657 0.335 0.686
S: 0.382 0.333 0.083
O: 0.692 0.557 0.530
O: 0.475 0.123 0.634
In: 0.010 0.012 0.655
O: 0.640 0.118 0.136
S: 0.301 0.999 0.251
O: 0.644 0.495 0.925
O: 0.031 0.800 0.695
O: 0.313 0.497 0.761
O: 0.766 0.803 0.200
O: 0.884 0.534 0.142
O: 0.520 0.837 0.758
O: 0.180 0.208 0.412
Si: 0.294 0.301 0.750
In: 0.321 0.668 0.517
Si: 0.339 0.966 0.919
Na: 0.695 0.341 0.331
O: 0.766 0.956 0.697
O: 0.654 0.517 0.246
O: 0.359 0.861 0.861
S: 0.958 0.329 0.584
S: 0.374 0.040 0.582
In: 0.691 0.342 0.184
O: 0.367 0.489 0.080
In: 0.677 0.342 0.478
O: 0.973 0.178 0.310
O: 0.152 0.642 0.079
O: 0.526 0.152 0.926
O: 0.805 0.017 0.801
O: 0.191 0.952 0.200
O: 0.135 0.484 0.582
In: 0.997 0.994 0.349
O: 0.973 0.820 0.083
O: 0.521 0.868 0.080
Ta: 0.313 0.656 0.312
Si: 0.035 0.672 0.418
O: 0.494 0.365 0.417
O: 0.499 0.635 0.863
O: 0.225 0.022 0.304
O: 0.673 0.151 0.031
S: 0.694 0.698 0.252
O: 0.197 0.018 0.585
O: 0.128 0.492 0.865
O: 0.851 0.490 0.416
S: 0.038 0.378 0.917
O: 0.191 0.236 0.689
O: 0.621 0.122 0.419
O: 0.201 0.180 0.804
Na: 0.002 0.971 0.996
O: 0.510 0.655 0.578

## Properties
Spin magnetization ... 0.0000 μB per atom
V ... 14.85 Å³ per atom
Formation energy from the elements ... -2.28 eV per atom